An optimized crystal structure of UGa3Ni. Source: the Materials Project database, functional PBE.

Computed properties:
Energy above the lowest structure with this stoichiometry, eV/f.u.: 0.00
ΔH_f (0 K), kJ/mol of formula units: -132

POSCAR file:
```
UGa3Ni
1.0
-2.082 2.082 5.115
2.082 -2.082 5.115
2.082 2.082 -5.115
U Ga Ni
1 3 1
Direct
0.000 0.000 0.000 U
0.252 0.752 0.500 Ga
0.415 0.415 0.000 Ga
0.752 0.252 0.500 Ga
0.640 0.640 0.000 Ni
```


An optimized crystal structure of YGa2Ni. Source: the Materials Project database, functional PBE.

Computed properties:
ΔH_f (0 K), kJ/mol of formula units: -253

POSCAR file:
```
YGa2Ni
1.0
2.067 -5.072 0.000
2.067 5.072 0.000
0.000 0.000 6.662
Y Ga Ni
2 4 2
Direct
0.072 0.928 0.750 Y
0.928 0.072 0.250 Y
0.355 0.645 0.554 Ga
0.355 0.645 0.946 Ga
0.645 0.355 0.054 Ga
0.645 0.355 0.446 Ga
0.210 0.790 0.250 Ni
0.790 0.210 0.750 Ni
```


An optimized crystal structure of YGa4Ni. Source: the Materials Project database, functional PBE.

Computed properties:
ΔH_f (0 K), kJ/mol of formula units: -315

POSCAR file:
```
YGa4Ni
1.0
2.058 -7.631 0.000
2.058 7.631 0.000
0.000 0.000 6.560
Y Ga Ni
2 8 2
Direct
0.118 0.882 0.750 Y
0.882 0.118 0.250 Y
0.072 0.928 0.250 Ga
0.314 0.686 0.551 Ga
0.314 0.686 0.949 Ga
0.500 0.500 0.000 Ga
0.500 0.500 0.500 Ga
0.686 0.314 0.051 Ga
0.686 0.314 0.449 Ga
0.928 0.072 0.750 Ga
0.225 0.775 0.250 Ni
0.775 0.225 0.750 Ni
```


An optimized crystal structure of Y2GaNi2. Source: the Materials Project database, functional PBE.

Computed properties:
ΔH_f (0 K), kJ/mol of formula units: -269

POSCAR file:
```
Y2GaNi2
1.0
-2.054 2.759 4.174
2.054 -2.759 4.174
2.054 2.759 -4.174
Y Ga Ni
2 1 2
Direct
0.206 0.206 0.000 Y
0.794 0.794 0.000 Y
0.500 0.000 0.500 Ga
0.218 0.500 0.718 Ni
0.782 0.500 0.282 Ni
```


An optimized crystal structure of YGa3Ni2. Source: the Materials Project database, functional PBE.

Computed properties:
ΔH_f (0 K), kJ/mol of formula units: -275

POSCAR file:
```
YGa3Ni2
1.0
4.679 -8.111 0.000
4.679 8.111 0.000
0.000 0.000 3.804
Y Ga Ni
3 9 6
Direct
0.000 0.000 0.000 Y
0.333 0.667 0.500 Y
0.667 0.333 0.500 Y
0.000 0.500 0.000 Ga
0.184 0.368 0.000 Ga
0.184 0.816 0.000 Ga
0.368 0.184 0.000 Ga
0.500 0.000 0.000 Ga
0.500 0.500 0.000 Ga
0.632 0.816 0.000 Ga
0.816 0.184 0.000 Ga
0.816 0.632 0.000 Ga
0.000 0.288 0.500 Ni
0.000 0.712 0.500 Ni
0.288 0.000 0.500 Ni
0.289 0.289 0.500 Ni
0.711 0.711 0.500 Ni
0.712 0.000 0.500 Ni
```


An optimized crystal structure of YGaNi. Source: the Materials Project database, functional PBE.

Computed properties:
ΔH_f (0 K), kJ/mol of formula units: -186

POSCAR file:
```
YGaNi
1.0
6.918 0.000 0.000
0.000 4.315 0.000
0.000 0.000 7.339
Y Ga Ni
4 4 4
Direct
0.016 0.250 0.199 Y
0.484 0.750 0.699 Y
0.516 0.250 0.301 Y
0.984 0.750 0.801 Y
0.182 0.250 0.581 Ga
0.318 0.750 0.081 Ga
0.682 0.250 0.919 Ga
0.818 0.750 0.419 Ga
0.207 0.750 0.409 Ni
0.293 0.250 0.909 Ni
0.707 0.750 0.091 Ni
0.793 0.250 0.591 Ni
```